(1)
# CaP3NO9 (PBE, relaxed)
# density = 2.1 Mg/m³
# total energy = -6.708 eV/atom
# crystal system = hexagonal
# space group = No. 188
# DFT formation energy = -2.0700 eV per atom
data_CaP3NO9
_chemical_formula_sum 'Ca2 P6 N2 O18'
_symmetry_space_group_name_H-M 'P 1'
_symmetry_Int_Tables_number 1
_cell_length_a 6.9720
_cell_length_b 6.9720
_cell_length_c 10.8655
_cell_angle_alpha 90.00
_cell_angle_beta 90.00
_cell_angle_gamma 120.00
loop_
_symmetry_equiv_pos_as_xyz
'x,y,z'
loop_
_atom_site_label
_atom_site_fract_x
_atom_site_fract_y
_atom_site_fract_z
_atom_site_occupancy
Ca1 0.0000 0.0000 0.0000 1
Ca2 0.0000 0.0000 0.5000 1
P1 0.3972 0.1151 0.2500 1
P2 0.3972 0.2821 0.7500 1
P3 0.7179 0.1151 0.7500 1
P4 0.7179 0.6028 0.2500 1
P5 0.8849 0.2821 0.2500 1
P6 0.8849 0.6028 0.7500 1
N1 0.3333 0.6667 0.0000 1
N2 0.3333 0.6667 0.5000 1
O1 0.2750 0.0172 0.1324 1
O2 0.2750 0.0172 0.3676 1
O3 0.2750 0.2578 0.6324 1
O4 0.2750 0.2578 0.8676 1
O5 0.4828 0.1050 0.7500 1
O6 0.4828 0.3778 0.2500 1
O7 0.6222 0.1050 0.2500 1
O8 0.6222 0.5172 0.7500 1
O9 0.7422 0.0172 0.6324 1
O10 0.7422 0.0172 0.8676 1
O11 0.7422 0.7250 0.1324 1
O12 0.7422 0.7250 0.3676 1
O13 0.8950 0.3778 0.7500 1
O14 0.8950 0.5172 0.2500 1
O15 0.9828 0.2578 0.1324 1
O16 0.9828 0.2578 0.3676 1
O17 0.9828 0.7250 0.6324 1
O18 0.9828 0.7250 0.8676 1


(2)
# Ba3Cl2O2 (PBE, relaxed)
# density = 4.0 Mg/m³
# total energy = -5.244 eV/atom
# crystal system = orthorhombic
# space group = No. 62
# DFT formation energy = -2.6764 eV per atom
data_Ba3Cl2O2
_chemical_formula_sum 'Ba12 Cl8 O8'
_symmetry_space_group_name_H-M 'P 1'
_symmetry_Int_Tables_number 1
_cell_length_a 12.6330
_cell_length_b 6.3479
_cell_length_c 10.7934
_cell_angle_alpha 90.00
_cell_angle_beta 90.00
_cell_angle_gamma 90.00
loop_
_symmetry_equiv_pos_as_xyz
'x,y,z'
loop_
_atom_site_label
_atom_site_fract_x
_atom_site_fract_y
_atom_site_fract_z
_atom_site_occupancy
Ba1 0.0468 0.2500 0.2020 1
Ba2 0.0824 0.2500 0.5587 1
Ba3 0.2132 0.7500 0.3588 1
Ba4 0.2868 0.2500 0.8588 1
Ba5 0.4176 0.7500 0.0587 1
Ba6 0.4532 0.7500 0.7020 1
Ba7 0.5468 0.2500 0.2980 1
Ba8 0.5824 0.2500 0.9413 1
Ba9 0.7132 0.7500 0.1412 1
Ba10 0.7868 0.2500 0.6412 1
Ba11 0.9176 0.7500 0.4413 1
Ba12 0.9532 0.7500 0.7980 1
Cl1 0.1347 0.7500 0.0577 1
Cl2 0.1954 0.7500 0.6775 1
Cl3 0.3046 0.2500 0.1775 1
Cl4 0.3653 0.2500 0.5577 1
Cl5 0.6347 0.7500 0.4423 1
Cl6 0.6954 0.7500 0.8225 1
Cl7 0.8046 0.2500 0.3225 1
Cl8 0.8653 0.2500 0.9423 1
O1 0.0727 0.9999 0.3722 1
O2 0.0727 0.5001 0.3722 1
O3 0.4273 0.0001 0.8722 1
O4 0.4273 0.4999 0.8722 1
O5 0.5727 0.9999 0.1278 1
O6 0.5727 0.5001 0.1278 1
O7 0.9273 0.0001 0.6278 1
O8 0.9273 0.4999 0.6278 1


(3)
# CeSe2 (PBE, relaxed)
# density = 1.8 Mg/m³
# total energy = -5.381 eV/atom
# crystal system = cubic
# space group = No. 203
# DFT formation energy = -1.3873 eV per atom
data_CeSe2
_chemical_formula_sum 'Ce34 Se68'
_symmetry_space_group_name_H-M 'P 1'
_symmetry_Int_Tables_number 1
_cell_length_a 23.8123
_cell_length_b 23.8123
_cell_length_c 23.8123
_cell_angle_alpha 60.00
_cell_angle_beta 60.00
_cell_angle_gamma 60.00
loop_
_symmetry_equiv_pos_as_xyz
'x,y,z'
loop_
_atom_site_label
_atom_site_fract_x
_atom_site_fract_y
_atom_site_fract_z
_atom_site_occupancy
Ce1 0.0060 0.2349 0.6295 1
Ce2 0.0060 0.6296 0.2349 1
Ce3 0.0060 0.6295 0.6296 1
Ce4 0.1250 0.1250 0.1250 1
Ce5 0.1515 0.7828 0.7828 1
Ce6 0.2172 0.2172 0.2172 1
Ce7 0.2172 0.2172 0.8485 1
Ce8 0.2172 0.8485 0.2172 1
Ce9 0.2349 0.0060 0.6296 1
Ce10 0.2349 0.6295 0.0060 1
Ce11 0.2349 0.6296 0.6295 1
Ce12 0.3704 0.3705 0.7651 1
Ce13 0.3705 0.3704 0.9940 1
Ce14 0.3705 0.7651 0.3704 1
Ce15 0.3704 0.7651 0.9940 1
Ce16 0.3704 0.9940 0.3705 1
Ce17 0.3705 0.9940 0.7651 1
Ce18 0.6295 0.0060 0.2349 1
Ce19 0.6296 0.0060 0.6295 1
Ce20 0.6296 0.2349 0.0060 1
Ce21 0.6295 0.2349 0.6296 1
Ce22 0.6295 0.6296 0.0060 1
Ce23 0.6296 0.6295 0.2349 1
Ce24 0.7651 0.3704 0.3705 1
Ce25 0.7651 0.3705 0.9940 1
Ce26 0.7651 0.9940 0.3704 1
Ce27 0.7828 0.1515 0.7828 1
Ce28 0.7828 0.7828 0.1515 1
Ce29 0.7828 0.7828 0.7828 1
Ce30 0.8485 0.2172 0.2172 1
Ce31 0.8750 0.8750 0.8750 1
Ce32 0.9940 0.3705 0.3704 1
Ce33 0.9940 0.3704 0.7651 1
Ce34 0.9940 0.7651 0.3705 1
Se1 0.0004 0.3128 0.4998 1
Se2 0.9996 0.3131 0.6872 1
Se3 0.9996 0.5002 0.3131 1
Se4 0.0004 0.4998 0.6869 1
Se5 0.0004 0.6869 0.3128 1
Se6 0.9996 0.6872 0.5002 1
Se7 0.0131 0.8290 0.8290 1
Se8 0.1065 0.2940 0.2940 1
Se9 0.1065 0.2940 0.8054 1
Se10 0.1065 0.8054 0.2940 1
Se11 0.1232 0.1232 0.6268 1
Se12 0.1232 0.6268 0.1232 1
Se13 0.1232 0.6268 0.6268 1
Se14 0.1710 0.1710 0.1710 1
Se15 0.1710 0.1710 0.9869 1
Se16 0.1710 0.9869 0.1710 1
Se17 0.1946 0.7060 0.7060 1
Se18 0.1946 0.7060 0.8935 1
Se19 0.1946 0.8935 0.7060 1
Se20 0.2940 0.1065 0.2940 1
Se21 0.2940 0.1065 0.8054 1
Se22 0.2940 0.2940 0.1065 1
Se23 0.2940 0.2940 0.8054 1
Se24 0.2940 0.8054 0.1065 1
Se25 0.2940 0.8054 0.2940 1
Se26 0.3131 0.9996 0.5002 1
Se27 0.3128 0.0004 0.6869 1
Se28 0.3128 0.4998 0.0004 1
Se29 0.3131 0.5002 0.6872 1
Se30 0.3131 0.6872 0.9996 1
Se31 0.3128 0.6869 0.4998 1
Se32 0.3732 0.3732 0.8768 1
Se33 0.3732 0.8768 0.3732 1
Se34 0.3732 0.8768 0.8768 1
Se35 0.4998 0.0004 0.3128 1
Se36 0.5002 0.9996 0.6872 1
Se37 0.5002 0.3131 0.9996 1
Se38 0.4998 0.3128 0.6869 1
Se39 0.4998 0.6869 0.0004 1
Se40 0.5002 0.6872 0.3131 1
Se41 0.6268 0.1232 0.1232 1
Se42 0.6268 0.1232 0.6268 1
Se43 0.6268 0.6268 0.1232 1
Se44 0.6872 0.9996 0.3131 1
Se45 0.6869 0.0004 0.4998 1
Se46 0.6869 0.3128 0.0004 1
Se47 0.6872 0.3131 0.5002 1
Se48 0.6872 0.5002 0.9996 1
Se49 0.6869 0.4998 0.3128 1
Se50 0.7060 0.1946 0.7060 1
Se51 0.7060 0.1946 0.8935 1
Se52 0.7060 0.7060 0.1946 1
Se53 0.7060 0.7060 0.8935 1
Se54 0.7060 0.8935 0.1946 1
Se55 0.7060 0.8935 0.7060 1
Se56 0.8054 0.1065 0.2940 1
Se57 0.8054 0.2940 0.1065 1
Se58 0.8054 0.2940 0.2940 1
Se59 0.8290 0.0131 0.8290 1
Se60 0.8290 0.8290 0.0131 1
Se61 0.8290 0.8290 0.8290 1
Se62 0.8768 0.3732 0.3732 1
Se63 0.8768 0.3732 0.8768 1
Se64 0.8768 0.8768 0.3732 1
Se65 0.8935 0.1946 0.7060 1
Se66 0.8935 0.7060 0.1946 1
Se67 0.8935 0.7060 0.7060 1
Se68 0.9869 0.1710 0.1710 1